[1]
Below is a geometry-optimized Eu5B3O9F structure, with properties calculated at the PBE level.

```
data_Eu5B3O9F
_cell_length_a 7.2299
_cell_length_b 14.1604
_cell_length_c 9.8675
_cell_angle_alpha 90.00
_cell_angle_beta 90.00
_cell_angle_gamma 90.00
_symmetry_space_group_name_H-M 'P n m a'
_symmetry_Int_Tables_number 62
loop_
_symmetry_equiv_pos_as_xyz
'x,y,z'
'-x,-y,-z'
'-x+1/2,-y,z+1/2'
'x+1/2,y,-z+1/2'
'x+1/2,-y+1/2,-z+1/2'
'-x+1/2,y+1/2,z+1/2'
'-x,y+1/2,-z'
'x,-y+1/2,z'
loop_
_atom_site_label
_atom_site_type_symbol
_atom_site_fract_x
_atom_site_fract_y
_atom_site_fract_z
Eu1 Eu 0.0289 0.1120 0.2471
Eu2 Eu 0.2131 0.7500 0.4804
Eu3 Eu 0.2490 0.6198 0.1265
B1 B 0.1996 0.5387 0.4389
B2 B 0.2178 0.7500 0.8885
O1 O 0.0547 0.7500 0.9620
O2 O 0.0906 0.5903 0.3485
O3 O 0.1139 0.2500 0.4556
O4 O 0.2159 0.7500 0.7467
O5 O 0.2174 0.5447 0.8965
O6 O 0.2217 0.5687 0.5726
F1 F 0.1240 0.2500 0.7648
```

- ΔH_f (0 K) (eV per atom) = -3.256
- E (Ry/atom) = -0.693


[2]
Below is a geometry-optimized EuGa3B4O12 structure, with properties calculated at the PBE level.

```
data_EuGa3B4O12
_cell_length_a 9.5711
_cell_length_b 9.5711
_cell_length_c 7.6587
_cell_angle_alpha 90.00
_cell_angle_beta 90.00
_cell_angle_gamma 120.00
_symmetry_space_group_name_H-M 'R 3 2'
_symmetry_Int_Tables_number 155
_symmetry_space_group_name_Hall 'R 3 2"'
loop_
_atom_site_label
_atom_site_type_symbol
_atom_site_fract_x
_atom_site_fract_y
_atom_site_fract_z
Eu1 Eu 0.0000 0.0000 0.0000
Ga1 Ga 0.0000 0.5497 0.0000
B1 B 0.0000 0.0000 0.5000
B2 B 0.0000 0.4479 0.5000
O1 O 0.0000 0.5931 0.5000
O2 O 0.0000 0.8550 0.5000
O3 O 0.0247 0.2124 0.1904
```

- ΔH_f (0 K) (eV per atom) = -2.677
- E (Ry/atom) = -0.554